No. 1
First-principles (PBE-GGA) data for a geometry-optimized Nd4Ge13 structure, as listed in the Materials Project database.

Results
The value obtained for the electronic total energy is -85.170 eV for the cell shown. Its space group is Pmm2 (25). The calculation puts the formation energy at -0.353 eV per atom. The value obtained for the magnetization is 0.00 Bohr magnetons per cell.

abc: 4.014 4.148 22.392
angles: 90.00 90.00 90.00
Fractional coordinates of all 17 atoms:
Ge 0.000 0.000 0.460
Ge 0.500 0.000 0.718
Ge 0.500 0.000 0.943
Ge 0.000 0.000 0.573
Ge 0.500 0.500 0.455
Ge 0.000 0.000 0.789
Ge 0.500 0.000 0.267
Ge 0.000 0.000 0.198
Ge 0.000 0.500 0.942
Ge 0.500 0.500 0.569
Ge 0.500 0.000 0.055
Ge 0.500 0.000 0.384
Ge 0.000 0.500 0.054
Nd 0.500 0.500 0.157
Nd 0.500 0.500 0.837
Nd 0.000 0.500 0.675
Nd 0.000 0.500 0.328

***

No. 2
First-principles (PBE-GGA) data for a geometry-optimized Nd2NiGe6 structure, as listed in the Materials Project database.

Results
The value obtained for the electronic total energy is -47.797 eV for the cell shown. Its space group is Amm2 (38). The calculation puts the formation energy at -0.527 eV per atom. The value obtained for the magnetization is 0.00 Bohr magnetons per cell.

abc: 4.126 4.075 11.134
angles: 100.54 90.00 90.00
Fractional coordinates of all 9 atoms:
Nd 0.500 0.887 0.774
Nd 0.500 0.221 0.443
Ge 0.000 0.001 0.002
Ge 0.500 0.500 0.000
Ge 0.000 0.115 0.231
Ge 0.500 0.614 0.228
Ge 0.000 0.769 0.537
Ge 0.000 0.339 0.679
Ni 0.000 0.446 0.893

***

No. 3
First-principles (PBE-GGA) data for a geometry-optimized Nd2NiGe3 structure, as listed in the Materials Project database.

Results
The value obtained for the electronic total energy is -33.004 eV for the cell shown. Its space group is P-6m2 (187). The calculation puts the formation energy at -0.636 eV per atom. The value obtained for the magnetization is 0.04 Bohr magnetons per cell.

abc: 4.251 4.251 8.264
angles: 90.00 90.00 120.00
Fractional coordinates of all 6 atoms:
Ge 0.000 0.000 0.000
Ge 0.667 0.333 0.500
Ge 0.000 0.000 0.500
Ni 0.667 0.333 0.000
Nd 0.333 0.667 0.767
Nd 0.333 0.667 0.233

***

No. 4
First-principles (PBE-GGA) data for a geometry-optimized NdNiGe2 structure, as listed in the Materials Project database.

Results
The value obtained for the electronic total energy is -45.547 eV for the cell shown. Its space group is Cmcm (63). The calculation puts the formation energy at -0.745 eV per atom.

abc: 8.658 8.658 4.253
angles: 90.00 90.00 151.68
Fractional coordinates of all 8 atoms:
Ge 0.542 0.458 0.250
Ge 0.749 0.251 0.750
Ge 0.251 0.749 0.250
Ge 0.458 0.542 0.750
Ni 0.319 0.681 0.750
Ni 0.681 0.319 0.250
Nd 0.891 0.109 0.250
Nd 0.109 0.891 0.750

***

No. 5
First-principles (PBE-GGA) data for a geometry-optimized Nd3NiGe2 structure, as listed in the Materials Project database.

Results
The value obtained for the electronic total energy is -134.611 eV for the cell shown. Its space group is Pnma (62). The calculation puts the formation energy at -0.720 eV per atom.

abc: 4.308 11.743 11.879
angles: 90.00 90.00 90.00
Fractional coordinates of all 24 atoms:
Nd 0.750 0.942 0.116
Nd 0.250 0.696 0.216
Nd 0.250 0.442 0.384
Nd 0.250 0.804 0.716
Nd 0.250 0.058 0.884
Nd 0.250 0.125 0.558
Nd 0.750 0.558 0.616
Nd 0.750 0.625 0.942
Nd 0.250 0.375 0.058
Nd 0.750 0.304 0.784
Nd 0.750 0.875 0.442
Nd 0.750 0.196 0.284
Ni 0.250 0.134 0.130
Ni 0.750 0.866 0.870
Ni 0.750 0.634 0.370
Ni 0.250 0.366 0.630
Ge 0.250 0.813 0.976
Ge 0.750 0.187 0.024
Ge 0.750 0.995 0.696
Ge 0.250 0.005 0.304
Ge 0.250 0.687 0.476
Ge 0.250 0.495 0.804
Ge 0.750 0.313 0.524
Ge 0.750 0.505 0.196

***

No. 6
First-principles (PBE-GGA) data for a geometry-optimized NdNiGe structure, as listed in the Materials Project database.

Results
The value obtained for the electronic total energy is -69.026 eV for the cell shown. Its space group is Pnma (62). The calculation puts the formation energy at -0.695 eV per atom.

abc: 4.400 7.233 7.296
angles: 90.00 90.00 90.00
Fractional coordinates of all 12 atoms:
Ge 0.250 0.095 0.811
Ge 0.250 0.405 0.311
Ge 0.750 0.905 0.189
Ge 0.750 0.595 0.689
Nd 0.250 0.803 0.481
Nd 0.750 0.197 0.519
Nd 0.250 0.697 0.981
Nd 0.750 0.303 0.019
Ni 0.250 0.420 0.673
Ni 0.250 0.080 0.173
Ni 0.750 0.580 0.327
Ni 0.750 0.920 0.827

***

No. 7
First-principles (PBE-GGA) data for a geometry-optimized NdNiGe3 structure, as listed in the Materials Project database.

Results
The value obtained for the electronic total energy is -54.810 eV for the cell shown. Its space group is Cmmm (65). The calculation puts the formation energy at -0.598 eV per atom.

abc: 11.149 11.149 4.170
angles: 90.00 90.00 158.57
Fractional coordinates of all 10 atoms:
Nd 0.332 0.668 0.500
Nd 0.668 0.332 0.500
Ge 0.557 0.443 0.000
Ge 0.216 0.784 0.000
Ge 0.784 0.216 0.000
Ge 0.443 0.557 0.000
Ge 0.057 0.943 0.500
Ge 0.943 0.057 0.500
Ni 0.109 0.891 0.000
Ni 0.891 0.109 0.000

***

No. 8
First-principles (PBE-GGA) data for a geometry-optimized Nd2Ge2O7 structure, as listed in the Materials Project database.

Results
The value obtained for the electronic total energy is -977.307 eV for the cell shown. Its space group is P-1 (2). The calculation puts the formation energy at -2.985 eV per atom. The value obtained for the magnetization is 0.04 Bohr magnetons per cell.

abc: 7.002 7.008 38.146
angles: 88.87 84.74 88.59
Fractional coordinates of all 132 atoms:
Nd 0.473 0.194 0.368
Nd 0.662 0.382 0.453
Nd 0.338 0.618 0.547
Nd 0.127 0.143 0.701
Nd 0.615 0.443 0.206
Nd 0.615 0.111 0.045
Nd 0.970 0.455 0.371
Nd 0.487 0.192 0.869
Nd 0.023 0.549 0.131
Nd 0.678 0.378 0.954
Nd 0.619 0.407 0.706
Nd 0.635 0.109 0.544
Nd 0.381 0.593 0.294
Nd 0.527 0.806 0.632
Nd 0.365 0.891 0.456
Nd 0.873 0.857 0.299
Nd 0.513 0.808 0.131
Nd 0.909 0.880 0.803
Nd 0.977 0.451 0.869
Nd 0.322 0.622 0.046
Nd 0.030 0.545 0.629
Nd 0.385 0.889 0.955
Nd 0.091 0.120 0.197
Nd 0.385 0.557 0.794
Ge 0.190 0.378 0.959
Ge 0.506 0.334 0.628
Ge 0.725 0.903 0.721
Ge 0.494 0.666 0.372
Ge 0.961 0.997 0.392
Ge 0.160 0.133 0.031
Ge 0.172 0.127 0.532
Ge 0.507 0.666 0.870
Ge 0.127 0.651 0.211
Ge 0.828 0.873 0.468
Ge 0.026 0.004 0.106
Ge 0.134 0.650 0.709
Ge 0.493 0.334 0.130
Ge 0.275 0.097 0.279
Ge 0.039 0.003 0.608
Ge 0.602 0.952 0.223
Ge 0.840 0.867 0.969
Ge 0.873 0.349 0.789
Ge 0.974 0.996 0.894
Ge 0.181 0.373 0.460
Ge 0.819 0.627 0.540
Ge 0.866 0.350 0.291
Ge 0.398 0.048 0.777
Ge 0.810 0.622 0.041
O 0.378 0.227 0.939
O 0.754 0.141 0.404
O 0.604 0.719 0.331
O 0.059 0.231 0.993
O 0.947 0.805 0.866
O 0.613 0.725 0.828
O 0.410 0.217 0.809
O 0.070 0.200 0.633
O 0.756 0.135 0.208
O 0.432 0.869 0.894
O 0.679 0.441 0.023
O 0.308 0.550 0.734
O 0.007 0.553 0.565
O 0.002 0.170 0.765
O 0.217 0.791 0.672
O 0.693 0.484 0.639
O 0.783 0.209 0.328
O 0.029 0.912 0.437
O 0.422 0.874 0.395
O 0.676 0.071 0.481
O 0.993 0.447 0.435
O 0.958 0.091 0.062
O 0.053 0.195 0.134
O 0.633 0.774 0.562
O 0.641 0.488 0.893
O 0.998 0.830 0.235
O 0.135 0.158 0.376
O 0.397 0.136 0.733
O 0.017 0.533 0.806
O 0.941 0.769 0.007
O 0.764 0.135 0.906
O 0.369 0.513 0.607
O 0.321 0.559 0.977
O 0.631 0.487 0.393
O 0.684 0.063 0.982
O 0.681 0.489 0.140
O 0.689 0.454 0.766
O 0.376 0.252 0.307
O 0.684 0.446 0.523
O 0.311 0.546 0.234
O 0.971 0.088 0.563
O 0.692 0.450 0.266
O 0.396 0.281 0.669
O 0.994 0.467 0.693
O 0.983 0.467 0.194
O 0.854 0.842 0.123
O 0.209 0.883 0.300
O 0.200 0.776 0.170
O 0.236 0.865 0.094
O 0.865 0.842 0.624
O 0.005 0.450 0.934
O 0.791 0.117 0.700
O 0.324 0.929 0.519
O 0.578 0.126 0.605
O 0.359 0.512 0.107
O 0.624 0.748 0.693
O 0.244 0.865 0.792
O 0.327 0.286 0.045
O 0.066 0.217 0.494
O 0.673 0.714 0.955
O 0.568 0.131 0.106
O 0.387 0.275 0.172
O 0.246 0.859 0.596
O 0.033 0.185 0.266
O 0.603 0.864 0.267
O 0.343 0.280 0.545
O 0.316 0.554 0.477
O 0.146 0.158 0.877
O 0.622 0.773 0.061
O 0.369 0.091 0.233
O 0.367 0.226 0.438
O 0.800 0.224 0.830
O 0.319 0.511 0.860
O 0.995 0.550 0.066
O 0.307 0.516 0.361
O 0.657 0.720 0.455
O 0.631 0.909 0.767
O 0.006 0.533 0.307
O 0.930 0.800 0.367
O 0.967 0.815 0.734
O 0.316 0.937 0.018
O 0.042 0.909 0.938
O 0.590 0.783 0.191
O 0.934 0.783 0.506